[1]
This record from the Materials Project describes a geometry-optimized Pr2TlCd structure. The functional is GGA-PBE.

As for the energy relative to the elements: -1.41 eV per formula unit. As for the total energy: -3.564 eV/atom.

a = 5.5450 Å, b = 5.5450 Å, c = 5.5450 Å
α = 60.00°, β = 60.00°, γ = 60.00°
With the nearest neighbours (Å) after each atom.
Sites, in units of the cell vectors:
Pr (0.7500, 0.7500, 0.7500)  4 Tl 3.40, 4 Cd 3.40
Pr (0.2500, 0.2500, 0.2500)  4 Tl 3.40, 4 Cd 3.40
Tl (0.5000, 0.5000, 0.5000)  8 Pr 3.40
Cd (0.0000, 0.0000, 0.0000)  8 Pr 3.40

=====

[2]
This record from the Materials Project describes a geometry-optimized Na6Ta4Nb4Si11SO48 structure. The functional is GGA-PBE.

As for the energy relative to the elements: -225.50 eV per formula unit. The calculation puts the corrected total energy (MP2020 scheme) at -8.413 eV per atom. As for the total energy: -7.968 eV/atom.

a = 17.8977 Å, b = 8.9459 Å, c = 22.8786 Å
α = 90.08°, β = 89.98°, γ = 120.10°
With the nearest neighbours (Å) after each atom.
Sites, in units of the cell vectors:
Na (0.6825, 0.9995, 0.7503)  4 O 2.38-2.50
Na (0.0161, 0.6965, 0.5827)  4 O 2.35-2.52
Na (0.5165, 0.7000, 0.5832)  4 O 2.37-2.48
Na (0.8324, 0.6955, 0.0824)  4 O 2.36-2.53
Na (0.3496, 0.0321, 0.9171)  4 O 2.38-2.48
Na (0.4842, 0.3039, 0.4172)  4 O 2.36-2.52
Na (0.0010, 0.0063, 0.4989)  6 O 2.59-2.67
Na (0.5010, 0.0001, 0.5014)  6 O 2.57-2.66
Na (0.0039, 0.0068, 0.9990)  6 O 2.60-2.69
Na (0.5034, 0.9996, 0.9996)  6 O 2.57-2.68
Na (0.3347, 0.3394, 0.8338)  6 O 2.56-2.68
Na (0.8362, 0.3394, 0.8349)  6 O 2.57-2.67
Na (0.3321, 0.3359, 0.3326)  6 O 2.56-2.65
Na (0.8353, 0.3364, 0.3340)  6 O 2.59-2.70
Na (0.1674, 0.6654, 0.1654)  6 O 2.58-2.70
Na (0.6640, 0.6635, 0.1661)  6 O 2.57-2.68
Na (0.1698, 0.6696, 0.6674)  6 O 2.55-2.66
Na (0.6686, 0.6606, 0.6673)  6 O 2.54-2.67
Ta (0.9931, 0.9906, 0.8576)  5 O 1.91-1.99
Ta (0.5018, 0.9986, 0.8543)  6 O 1.94-2.03
Ta (0.4996, 0.0044, 0.6468)  6 O 1.93-2.05
Ta (0.4943, 0.0031, 0.1426)  5 O 1.90-1.99
Ta (0.8355, 0.3383, 0.6882)  6 O 1.95-2.03
Ta (0.3332, 0.3384, 0.9796)  6 O 1.94-2.04
Ta (0.8326, 0.3315, 0.9776)  6 O 1.97-2.01
Ta (0.8346, 0.3321, 0.4784)  6 O 1.96-2.01
Ta (0.1667, 0.6646, 0.0211)  6 O 1.95-2.01
Ta (0.6637, 0.6655, 0.0203)  6 O 1.93-2.06
Ta (0.1679, 0.6653, 0.5205)  6 O 1.94-2.04
Ta (0.6659, 0.6622, 0.8133)  6 O 1.93-2.05
Nb (0.9930, 0.9950, 0.3573)  5 O 1.92-2.01
Nb (0.4931, 0.9918, 0.3555)  5 O 1.91-2.05
Nb (0.9948, 0.9912, 0.6442)  5 O 1.92-2.03
Nb (0.9981, 0.0093, 0.1434)  5 O 1.92-2.04
Nb (0.3375, 0.3324, 0.6860)  5 O 1.91-2.00
Nb (0.3383, 0.3416, 0.1851)  5 O 1.89-2.02
Nb (0.8387, 0.3431, 0.1853)  5 O 1.89-2.02
Nb (0.3303, 0.3344, 0.4793)  6 O 1.94-2.07
Nb (0.6693, 0.6701, 0.5210)  6 O 1.93-2.06
Nb (0.1664, 0.6572, 0.3141)  5 O 1.90-2.02
Nb (0.6680, 0.6575, 0.3137)  5 O 1.89-2.00
Nb (0.1669, 0.6753, 0.8151)  5 O 1.90-2.02
Si (0.3541, 0.7090, 0.2487)  4 O 1.63-1.66
Si (0.8556, 0.7110, 0.2494)  4 O 1.64
Si (0.9992, 0.2894, 0.2509)  4 O 1.63-1.65
Si (0.4993, 0.2883, 0.2498)  4 O 1.63-1.65
Si (0.6443, 0.2918, 0.7501)  4 O 1.62-1.64
Si (0.0011, 0.7126, 0.7504)  4 O 1.63-1.66
Si (0.4979, 0.7087, 0.7499)  4 O 1.63-1.65
Si (0.3551, 0.9978, 0.7509)  4 O 1.64-1.65
Si (0.8559, 0.0005, 0.7509)  4 O 1.63-1.65
Si (0.4781, 0.3292, 0.5814)  4 O 1.62-1.66
Si (0.9772, 0.3311, 0.5832)  4 O 1.63-1.64
Si (0.1895, 0.0450, 0.5839)  4 O 1.63-1.64
Si (0.6904, 0.0496, 0.5837)  4 O 1.63-1.65
Si (0.3315, 0.6216, 0.5845)  4 O 1.62-1.65
Si (0.8297, 0.6143, 0.5829)  4 O 1.62-1.67
Si (0.4793, 0.6259, 0.0825)  4 O 1.63-1.65
Si (0.9804, 0.6236, 0.0814)  4 O 1.61-1.67
Si (0.3303, 0.0451, 0.0824)  4 O 1.62-1.66
Si (0.8305, 0.0473, 0.0828)  4 O 1.62-1.67
Si (0.1904, 0.3351, 0.0835)  4 O 1.62-1.65
Si (0.6882, 0.3296, 0.0829)  4 O 1.63-1.65
Si (0.3102, 0.6631, 0.9164)  4 O 1.62-1.64
Si (0.8079, 0.6617, 0.9178)  4 O 1.62-1.66
Si (0.0228, 0.3790, 0.9167)  4 O 1.63-1.65
Si (0.5224, 0.3784, 0.9167)  4 O 1.63-1.64
Si (0.1648, 0.9567, 0.9186)  4 O 1.62-1.66
Si (0.6667, 0.9546, 0.9161)  4 O 1.63-1.64
Si (0.3073, 0.9532, 0.4165)  4 O 1.62-1.67
Si (0.8083, 0.9556, 0.4161)  4 O 1.62-1.65
Si (0.1658, 0.3754, 0.4174)  4 O 1.62-1.65
Si (0.6687, 0.3757, 0.4179)  4 O 1.61-1.66
Si (0.0230, 0.6665, 0.4169)  4 O 1.63-1.64
Si (0.5236, 0.6701, 0.4166)  4 O 1.63-1.64
S (0.1438, 0.0000, 0.2501)  4 O 1.48-1.49
S (0.6435, 0.9999, 0.2497)  4 O 1.48-1.49
S (0.1436, 0.2870, 0.7503)  4 O 1.48-1.49
O (0.1043, 0.0273, 0.3029)  1 S 1.48
O (0.6035, 0.0268, 0.3030)  1 S 1.49
O (0.4167, 0.8040, 0.3064)  1 Si 1.66
O (0.9173, 0.8044, 0.3064)  1 Si 1.64
O (0.4874, 0.1700, 0.3082)  1 Si 1.65
O (0.9874, 0.1656, 0.3068)  1 Si 1.64
O (0.1036, 0.1801, 0.8030)  1 S 1.48
O (0.5989, 0.1636, 0.8062)  1 Si 1.64
O (0.4850, 0.8046, 0.8066)  1 Si 1.63
O (0.9878, 0.8112, 0.8062)  1 Si 1.63
O (0.4150, 0.0303, 0.8089)  1 Si 1.64
O (0.9183, 0.0311, 0.8067)  1 Si 1.63
O (0.4026, 0.9714, 0.6934)  1 Si 1.64
O (0.9043, 0.9735, 0.6937)  1 Si 1.65
O (0.0903, 0.2067, 0.6970)  1 S 1.49
O (0.5836, 0.1962, 0.6929)  1 Si 1.64
O (0.0152, 0.8312, 0.6915)  1 Si 1.66
O (0.5166, 0.8315, 0.6918)  1 Si 1.65
O (0.4046, 0.8343, 0.1934)  1 Si 1.63
O (0.9022, 0.8303, 0.1916)  1 Si 1.64
O (0.0148, 0.1959, 0.1935)  1 Si 1.65
O (0.5151, 0.1942, 0.1938)  1 Si 1.63
O (0.0903, 0.9728, 0.1971)  1 S 1.49
O (0.5899, 0.9726, 0.1970)  1 S 1.48
O (0.4332, 0.3675, 0.6387)  1 Si 1.66
O (0.9323, 0.3683, 0.6397)  1 Si 1.64
O (0.2502, 0.1370, 0.6408)  1 Si 1.63
O (0.7490, 0.1351, 0.6423)  1 Si 1.64
O (0.3181, 0.4981, 0.6409)  1 Si 1.64
O (0.8186, 0.5001, 0.6409)  1 Si 1.63
O (0.4335, 0.5018, 0.1401)  1 Si 1.65
O (0.9335, 0.5021, 0.1401)  1 Si 1.67
O (0.3186, 0.1385, 0.1404)  1 Si 1.64
O (0.8179, 0.1373, 0.1412)  1 Si 1.63
O (0.2506, 0.3628, 0.1410)  1 Si 1.64
O (0.7519, 0.3672, 0.1401)  1 Si 1.65
O (0.2353, 0.3020, 0.0264)  1 Si 1.64
O (0.7354, 0.3027, 0.0263)  1 Si 1.63
O (0.4168, 0.5316, 0.0265)  1 Si 1.63
O (0.9142, 0.5334, 0.0271)  1 Si 1.62
O (0.3487, 0.1645, 0.0244)  1 Si 1.63
O (0.8490, 0.1690, 0.0262)  1 Si 1.62
O (0.2350, 0.1671, 0.5265)  1 Si 1.64
O (0.7363, 0.1699, 0.5266)  1 Si 1.63
O (0.3507, 0.5321, 0.5275)  1 Si 1.65
O (0.8520, 0.5325, 0.5267)  1 Si 1.62
O (0.4187, 0.3027, 0.5240)  1 Si 1.63
O (0.9168, 0.3015, 0.5262)  1 Si 1.63
O (0.2659, 0.7023, 0.9726)  1 Si 1.64
O (0.7669, 0.6975, 0.9761)  1 Si 1.63
O (0.0842, 0.4704, 0.9735)  1 Si 1.63
O (0.5838, 0.4701, 0.9736)  1 Si 1.63
O (0.1507, 0.8323, 0.9740)  1 Si 1.62
O (0.6520, 0.8318, 0.9732)  1 Si 1.64
O (0.2646, 0.8322, 0.4737)  1 Si 1.63
O (0.7648, 0.8324, 0.4734)  1 Si 1.64
O (0.1510, 0.4691, 0.4738)  1 Si 1.63
O (0.6479, 0.4669, 0.4728)  1 Si 1.64
O (0.0821, 0.6970, 0.4755)  1 Si 1.64
O (0.5812, 0.6979, 0.4755)  1 Si 1.64
O (0.0698, 0.6374, 0.3598)  1 Si 1.64
O (0.5689, 0.6334, 0.3603)  1 Si 1.64
O (0.2496, 0.8631, 0.3587)  1 Si 1.62
O (0.7490, 0.8624, 0.3588)  1 Si 1.63
O (0.1824, 0.4988, 0.3598)  1 Si 1.65
O (0.6823, 0.4982, 0.3600)  1 Si 1.66
O (0.0691, 0.5013, 0.8591)  1 Si 1.65
O (0.5686, 0.5009, 0.8597)  1 Si 1.64
O (0.1843, 0.8684, 0.8608)  1 Si 1.66
O (0.6814, 0.8665, 0.8574)  1 Si 1.64
O (0.2495, 0.6361, 0.8590)  1 Si 1.64
O (0.7495, 0.6380, 0.8599)  1 Si 1.63
O (0.0140, 0.8387, 0.4076)  1 Si 1.64
O (0.5140, 0.8406, 0.4079)  1 Si 1.63
O (0.4057, 0.9789, 0.4096)  1 Si 1.67
O (0.9043, 0.9737, 0.4099)  1 Si 1.65
O (0.0820, 0.1854, 0.4076)  1 Si 1.62
O (0.5805, 0.1897, 0.4076)  1 Si 1.64
O (0.0139, 0.1891, 0.9068)  1 Si 1.64
O (0.5095, 0.1847, 0.9089)  1 Si 1.64
O (0.0817, 0.9795, 0.9071)  1 Si 1.62
O (0.5810, 0.9743, 0.9087)  1 Si 1.64
O (0.4044, 0.8398, 0.9086)  1 Si 1.64
O (0.9045, 0.8353, 0.9093)  1 Si 1.66
O (0.4875, 0.1601, 0.5903)  1 Si 1.62
O (0.9897, 0.1643, 0.5927)  1 Si 1.63
O (0.0928, 0.0204, 0.5916)  1 Si 1.64
O (0.5920, 0.0180, 0.5909)  1 Si 1.64
O (0.4202, 0.8085, 0.5914)  1 Si 1.64
O (0.9186, 0.8066, 0.5906)  1 Si 1.67
O (0.4893, 0.8146, 0.0935)  1 Si 1.63
O (0.9858, 0.8102, 0.0926)  1 Si 1.64
O (0.4172, 0.0260, 0.0910)  1 Si 1.66
O (0.9161, 0.0211, 0.0906)  1 Si 1.67
O (0.0950, 0.1614, 0.0925)  1 Si 1.65
O (0.5935, 0.1598, 0.0929)  1 Si 1.63
O (0.3439, 0.1686, 0.7420)  1 Si 1.65
O (0.8434, 0.1682, 0.7423)  1 Si 1.64
O (0.2306, 0.3052, 0.7442)  1 S 1.49
O (0.7379, 0.3021, 0.7422)  1 Si 1.64
O (0.4121, 0.5181, 0.7430)  1 Si 1.63
O (0.9148, 0.5228, 0.7422)  1 Si 1.63
O (0.3437, 0.5175, 0.2431)  1 Si 1.63
O (0.8434, 0.5176, 0.2429)  1 Si 1.64
O (0.4128, 0.3051, 0.2432)  1 Si 1.63
O (0.9127, 0.3050, 0.2430)  1 Si 1.63
O (0.2311, 0.1557, 0.2441)  1 S 1.49
O (0.7306, 0.1558, 0.2442)  1 S 1.49
O (0.3209, 0.4944, 0.9240)  1 Si 1.62
O (0.8211, 0.4959, 0.9242)  1 Si 1.62
O (0.4255, 0.3516, 0.9243)  1 Si 1.64
O (0.9276, 0.3585, 0.9249)  1 Si 1.63
O (0.2539, 0.1429, 0.9244)  1 Si 1.63
O (0.7518, 0.1452, 0.9244)  1 Si 1.63
O (0.3250, 0.1497, 0.4233)  1 Si 1.63
O (0.8209, 0.1465, 0.4240)  1 Si 1.62
O (0.2524, 0.3597, 0.4242)  1 Si 1.63
O (0.7535, 0.3589, 0.4244)  1 Si 1.61
O (0.4293, 0.4946, 0.4236)  1 Si 1.64
O (0.9276, 0.4967, 0.4248)  1 Si 1.63
O (0.1793, 0.5031, 0.0753)  1 Si 1.62
O (0.6822, 0.5059, 0.0758)  1 Si 1.64
O (0.0743, 0.6420, 0.0760)  1 Si 1.61
O (0.5735, 0.6421, 0.0759)  1 Si 1.63
O (0.2477, 0.8529, 0.0754)  1 Si 1.62
O (0.7499, 0.8502, 0.0764)  1 Si 1.63
O (0.1754, 0.8510, 0.5759)  1 Si 1.63
O (0.6763, 0.8533, 0.5761)  1 Si 1.65
O (0.2471, 0.6419, 0.5759)  1 Si 1.62
O (0.7474, 0.6417, 0.5762)  1 Si 1.62
O (0.0712, 0.5074, 0.5757)  1 Si 1.64
O (0.5712, 0.5074, 0.5764)  1 Si 1.63
O (0.1529, 0.8439, 0.2557)  1 S 1.49
O (0.6524, 0.8438, 0.2560)  1 S 1.49
O (0.2603, 0.6952, 0.2572)  1 Si 1.63
O (0.7606, 0.6950, 0.2571)  1 Si 1.64
O (0.0846, 0.4819, 0.2570)  1 Si 1.64
O (0.5845, 0.4817, 0.2574)  1 Si 1.64
O (0.1528, 0.4610, 0.7556)  1 S 1.49
O (0.6544, 0.4813, 0.7571)  1 Si 1.62
O (0.0856, 0.6889, 0.7572)  1 Si 1.64
O (0.5861, 0.6970, 0.7574)  1 Si 1.64
O (0.2596, 0.8250, 0.7572)  1 Si 1.64
O (0.7592, 0.8329, 0.7570)  1 Si 1.63

=====

[3]
This record from the Materials Project describes a geometry-optimized PuTiO3 structure. The functional is GGA-PBE.

As for the energy relative to the elements: -16.59 eV per formula unit. The calculation puts the corrected total energy (MP2020 scheme) at -10.719 eV per atom. As for the total energy: -10.307 eV/atom.

a = 3.9175 Å, b = 3.9175 Å, c = 3.9175 Å
α = 90.00°, β = 90.00°, γ = 90.00°
With the nearest neighbours (Å) after each atom.
Sites, in units of the cell vectors:
Pu (0.0000, 0.0000, 0.0000)  12 O 2.77
Ti (0.5000, 0.5000, 0.5000)  6 O 1.96
O (0.5000, 0.5000, 0.0000)  2 Ti 1.96
O (0.5000, 0.0000, 0.5000)  2 Ti 1.96
O (0.0000, 0.5000, 0.5000)  2 Ti 1.96

=====

[4]
This record from the Materials Project describes a geometry-optimized NaTl2GaF6 structure. The functional is GGA-PBE.

As for the energy relative to the elements: -26.53 eV per formula unit. The calculation puts the corrected total energy (MP2020 scheme) at -4.710 eV per atom. As for the total energy: -4.433 eV/atom.

a = 6.0576 Å, b = 6.0576 Å, c = 6.0576 Å
α = 60.00°, β = 60.00°, γ = 60.00°
With the nearest neighbours (Å) after each atom.
Sites, in units of the cell vectors:
Na (0.5000, 0.5000, 0.5000)  6 F 2.34
Tl (0.2500, 0.2500, 0.2500)  12 F 3.04
Tl (0.7500, 0.7500, 0.7500)  12 F 3.04
Ga (0.0000, 0.0000, 0.0000)  6 F 1.94
F (0.2263, 0.7737, 0.7737)  1 Ga 1.94
F (0.2263, 0.7737, 0.2263)  1 Ga 1.94
F (0.7737, 0.2263, 0.7737)  1 Ga 1.94
F (0.7737, 0.7737, 0.2263)  1 Ga 1.94
F (0.2263, 0.2263, 0.7737)  1 Ga 1.94
F (0.7737, 0.2263, 0.2263)  1 Ga 1.94

=====

Q: total energy of number 4 (NaTl2GaF6)?
A: -4.433 eV/atom

=====

Q: Which of these has the highest total energy?
A: Pr2TlCd

=====

Q: The lowest total energy belongs to which entry?
A: PuTiO3